# Li5Mn6B6O18

Li5Mn6B6O18 after structural relaxation (PBE with a Hubbard U, Materials Project).

Geometry as POSCAR:
```
Li5Mn6B6O18
1.0
5.268 0.000 0.000
-0.139 8.295 0.000
-2.543 -2.245 8.712
Li Mn B O
5 6 6 18
Direct
0.000 0.000 0.000
0.002 0.254 0.389
0.337 0.337 0.669
0.651 0.664 0.319
0.671 0.918 0.723
0.110 0.988 0.571
0.219 0.599 0.479
0.450 0.325 0.236
0.546 0.925 0.144
0.793 0.652 0.920
0.897 0.269 0.818
0.110 0.814 0.255
0.235 0.787 0.806
0.446 0.144 0.917
0.560 0.111 0.470
0.776 0.479 0.586
0.900 0.440 0.140
0.012 0.778 0.371
0.029 0.447 0.578
0.084 0.391 0.258
0.265 0.192 0.799
0.307 0.143 0.478
0.309 0.809 0.678
0.360 0.114 0.039
0.371 0.803 0.263
0.434 0.755 0.926
0.596 0.528 0.467
0.645 0.138 0.346
0.651 0.470 0.151
0.692 0.451 0.709
0.700 0.114 0.911
0.741 0.065 0.590
0.930 0.860 0.133
0.975 0.466 0.015
0.980 0.807 0.815
```

Calculated values
Energy of formation from the pure elements = -2.473 eV/atom
V = 381 Å³/cell
Electronic total energy = -7.367 eV/atom
Energy above the lowest structure with this stoichiometry = 0.32 eV per formula unit
Space group = P1, No. 1
Crystal system = triclinic